60
Lattice="13.0139 0.0000 0.0000 0.0000 13.0139 0.0000 0.0000 0.0000 13.0139" Properties=species:S:1:pos:R:3 comment="Sr3Al2 PBE relaxed" magmom_total_mub_per_cell=0.0 spacegroup=P2_13 total_energy_ev_per_atom=-2.58 formation_enthalpy_0k_mev_per_atom=-68.3 pbc="T T T"
Al 7.6436 9.8253 8.9808
Sr 12.1482 6.8394 9.0801
Al 2.4738 11.8772 3.1885
Sr 4.1675 8.8463 2.3394
Sr 8.8463 2.3394 4.1675
Al 10.5212 1.2022 9.9667
Al 11.8772 3.1885 2.4738
Sr 0.8656 0.3325 10.4406
Al 3.3184 10.5400 5.3703
Sr 12.6814 3.9337 5.6413
Al 10.5400 5.3703 3.3184
Sr 9.0801 12.1482 6.8394
Sr 0.2326 10.0841 7.2933
Al 3.0472 4.0142 5.3047
Al 2.4927 7.7091 9.5541
Sr 2.5732 7.3726 6.1744
Al 5.3047 3.0472 4.0142
Sr 0.3325 10.4406 0.8656
Sr 10.0841 7.2933 0.2326
Sr 2.3394 4.1675 8.8463
Al 3.4597 8.9996 11.8116
Sr 5.7206 6.7395 9.4367
Sr 6.7395 9.4367 5.7206
Sr 12.2307 0.7831 7.2900
Sr 4.2336 10.7405 8.7802
Sr 6.2744 2.9298 0.7863
Sr 10.6744 10.6744 10.6744
Al 8.9808 7.6436 9.8253
Al 9.8253 8.9808 7.6436
Sr 10.7405 8.7802 4.2336
Sr 5.6413 12.6814 3.9337
Al 11.8116 3.4597 8.9996
Sr 12.2275 12.7813 3.5772
Al 4.0142 5.3047 3.0472
Al 9.5541 2.4927 7.7091
Al 4.0331 1.1366 9.6954
Sr 12.7813 3.5772 12.2275
Al 3.1885 2.4738 11.8772
Sr 2.2733 2.2733 2.2733
Al 8.9996 11.8116 3.4597
Sr 7.3726 6.1744 2.5732
Sr 7.2900 12.2307 0.7831
Sr 2.9298 0.7863 6.2744
Sr 3.9337 5.6413 12.6814
Sr 7.2933 0.2326 10.0841
Al 5.3703 3.3184 10.5400
Sr 9.4367 5.7206 6.7395
Sr 6.8394 9.0801 12.1482
Al 1.2022 9.9667 10.5212
Al 9.9667 10.5212 1.2022
Sr 10.4406 0.8656 0.3325
Sr 5.7238 5.7238 5.7238
Sr 0.7863 6.2744 2.9298
Sr 0.7831 7.2900 12.2307
Sr 6.1744 2.5732 7.3726
Al 7.7091 9.5541 2.4927
Sr 8.7802 4.2336 10.7405
Al 1.1366 9.6954 4.0331
Sr 3.5772 12.2275 12.7813
Al 9.6954 4.0331 1.1366